InGaSnO5 PBE optimized geometry; energy of formation = -2.120 eV per atom; total energy after the MP2020 corrections = -6.436 eV per atom
1.0
3.260 0.000 0.000
0.000 11.055 0.000
0.000 1.892 11.869
Sn O In Ga
4 20 4 4
direct
0.500 0.689 0.593
0.000 0.000 0.500
0.500 0.311 0.407
0.000 0.000 0.000
0.500 0.999 0.116
0.000 0.185 0.969
0.000 0.687 0.486
0.000 0.699 0.706
0.500 0.503 0.639
0.000 0.815 0.031
0.500 0.116 0.453
0.000 0.301 0.294
0.500 0.370 0.084
0.000 0.427 0.851
0.000 0.573 0.149
0.500 0.630 0.916
0.000 0.951 0.333
0.500 0.497 0.361
0.500 0.001 0.884
0.500 0.746 0.257
0.500 0.254 0.743
0.000 0.313 0.514
0.500 0.884 0.547
0.000 0.049 0.667
0.000 0.618 0.329
0.500 0.303 0.923
0.000 0.382 0.671
0.500 0.697 0.077
0.000 0.600 0.848
0.000 0.400 0.152
0.500 0.085 0.737
0.500 0.915 0.263